# 1
Cs2VAgS4: relaxed, GGA-PBE.

As for the total energy: -76.23 eV per cell.

Cell lengths 14.3576, 12.7645, 7.7763 Å; angles 85.01, 62.33, 32.65 degrees
Fractional coordinates of all 16 atoms:
Cs 0.0531 0.0531 0.6969
Cs 0.3031 0.3031 0.9469
Cs 0.6969 0.6969 0.0531
Cs 0.9469 0.9469 0.3031
V 0.1250 0.1250 0.1250
V 0.8750 0.8750 0.8750
Ag 0.3750 0.3750 0.3750
Ag 0.6250 0.6250 0.6250
S 0.0647 0.2890 0.3666
S 0.2202 0.6334 0.7110
S 0.2890 0.0647 0.7798
S 0.3666 0.7798 0.0647
S 0.6334 0.2202 0.9353
S 0.7110 0.9353 0.2202
S 0.7798 0.3666 0.2890
S 0.9353 0.7110 0.6334

# 2
CsAg3Se2: relaxed, GGA-PBE.

As for the total energy: -37.96 eV per cell.

Cell lengths 8.7547, 8.7547, 9.3603 Å; angles 111.83, 111.83, 29.73 degrees
Fractional coordinates of all 12 atoms:
Cs 0.1369 0.1369 0.0480
Cs 0.8631 0.8631 0.9520
Ag 0.0578 0.0578 0.4035
Ag 0.3116 0.3116 0.5630
Ag 0.4101 0.4101 0.3637
Ag 0.5899 0.5899 0.6363
Ag 0.6884 0.6884 0.4370
Ag 0.9422 0.9422 0.5965
Se 0.1939 0.1939 0.6843
Se 0.4784 0.4784 0.7705
Se 0.5216 0.5216 0.2295
Se 0.8061 0.8061 0.3157

Repeat the first record exactly.
Cs2VAgS4: relaxed, GGA-PBE.

As for the total energy: -76.23 eV per cell.

Cell lengths 14.3576, 12.7645, 7.7763 Å; angles 85.01, 62.33, 32.65 degrees
Fractional coordinates of all 16 atoms:
Cs 0.0531 0.0531 0.6969
Cs 0.3031 0.3031 0.9469
Cs 0.6969 0.6969 0.0531
Cs 0.9469 0.9469 0.3031
V 0.1250 0.1250 0.1250
V 0.8750 0.8750 0.8750
Ag 0.3750 0.3750 0.3750
Ag 0.6250 0.6250 0.6250
S 0.0647 0.2890 0.3666
S 0.2202 0.6334 0.7110
S 0.2890 0.0647 0.7798
S 0.3666 0.7798 0.0647
S 0.6334 0.2202 0.9353
S 0.7110 0.9353 0.2202
S 0.7798 0.3666 0.2890
S 0.9353 0.7110 0.6334